SeBr | meta-GGA r2SCAN | relaxed

- Uncorrected energy: -222.23 eV for the cell shown
- Formation energy: -0.10 eV/atom
- M_tot: 0.00 μB per formula unit
- Space group: P2_1/c, No. 14

Cell lengths 5.0521, 7.4896, 14.7887 Å; angles 90.00, 90.00, 95.71 degrees
Last column: nearest neighbours and their distance in Å.
Atoms (fractional coordinates):
Se 0.0828 0.3881 0.1349  1 Se 2.22, 1 Br 2.41
Se 0.4172 0.6119 0.6349  1 Se 2.22, 1 Br 2.41
Se 0.9172 0.6119 0.8651  1 Se 2.22, 1 Br 2.41
Se 0.5828 0.3881 0.3651  1 Se 2.22, 1 Br 2.41
Se 0.8222 0.2078 0.0456  1 Se 2.22, 1 Br 2.42
Se 0.6778 0.7922 0.5456  1 Se 2.22, 1 Br 2.42
Se 0.1778 0.7922 0.9544  1 Se 2.22, 1 Br 2.42
Se 0.3222 0.2078 0.4544  1 Se 2.22, 1 Br 2.42
Br 0.8677 0.6602 0.1453  1 Se 2.41
Br 0.6323 0.3398 0.6453  1 Se 2.41
Br 0.1323 0.3398 0.8547  1 Se 2.41
Br 0.3677 0.6602 0.3547  1 Se 2.41
Br 0.4997 0.0457 0.1440  1 Se 2.42
Br 0.0003 0.9543 0.6440  1 Se 2.42
Br 0.5003 0.9543 0.8560  1 Se 2.42
Br 0.9997 0.0457 0.3560  1 Se 2.42

=====

LiGaAu2 | meta-GGA r2SCAN | relaxed

- Uncorrected energy: -116.77 eV for the cell shown
- Formation energy: -0.44 eV/atom
- M_tot: 0.00 μB per formula unit
- Space group: Fm-3m, No. 225

Cell lengths 4.4363, 4.4363, 4.4363 Å; angles 60.00, 60.00, 60.00 degrees
Last column: nearest neighbours and their distance in Å.
Atoms (fractional coordinates):
Li 0.7500 0.7500 0.7500  8 Au 2.72
Ga 0.2500 0.2500 0.2500  8 Au 2.72
Au 0.5000 0.5000 0.5000  4 Li 2.72, 4 Ga 2.72
Au 0.0000 0.0000 0.0000  4 Li 2.72, 4 Ga 2.72

=====

K2MoO4 | meta-GGA r2SCAN | relaxed

- Uncorrected energy: -156.24 eV for the cell shown
- Formation energy: -2.30 eV/atom
- M_tot: 0.00 μB per formula unit
- Space group: C2/m, No. 12

Cell lengths 6.0384, 6.8684, 7.5069 Å; angles 112.83, 90.00, 116.08 degrees
Last column: nearest neighbours and their distance in Å.
Atoms (fractional coordinates):
K 0.5093 0.0187 0.2346  6 O 2.69-2.88
K 0.4907 0.9813 0.7654  6 O 2.69-2.88
K 0.1552 0.3104 0.7489  6 O 2.66-2.91
K 0.8448 0.6896 0.2511  6 O 2.66-2.91
Mo 0.1757 0.3514 0.2260  4 O 1.77
Mo 0.8243 0.6486 0.7740  4 O 1.77
O 0.3812 0.2849 0.0754  1 Mo 1.77
O 0.0963 0.7151 0.9246  1 Mo 1.77
O 0.6188 0.7151 0.9246  1 Mo 1.77
O 0.9037 0.2849 0.0754  1 Mo 1.77
O 0.9121 0.8241 0.6395  1 Mo 1.77
O 0.0879 0.1759 0.3605  1 Mo 1.77
O 0.3321 0.6643 0.3821  1 Mo 1.77
O 0.6679 0.3357 0.6179  1 Mo 1.77